First-principles (PBE+U) data for a geometry-optimized Na2YPWO8 structure, as listed in the Materials Project database.

Results
* V: 787.10 Å³/cell
* uncorrected energy: -373.9 eV/cell

Lattice parameters (Å, degrees): 11.5899 11.5899 11.5899 144.99 115.98 75.10
Last column: nearest neighbours and their distance in Å.
Positions (direct):
O (0.1406, 0.5682, 0.7248)  1 P 1.56
O (0.1566, 0.9318, 0.0724)  1 P 1.56
O (0.6039, 0.1696, 0.0134)  1 W 1.83
O (0.8961, 0.9095, 0.5657)  1 W 1.83
O (0.8594, 0.4318, 0.2752)  1 P 1.56
O (0.6406, 0.9158, 0.5724)  1 P 1.56
O (0.3630, 0.7758, 0.6742)  1 W 1.81
O (0.8434, 0.0682, 0.9276)  1 P 1.56
O (0.1039, 0.0905, 0.4343)  1 W 1.83
O (0.3984, 0.3111, 0.1742)  1 W 1.81
O (0.6562, 0.5905, 0.4866)  1 W 1.83
O (0.6016, 0.6889, 0.8258)  1 W 1.81
O (0.9266, 0.6971, 0.7587)  1 P 1.55
O (0.6566, 0.5842, 0.2248)  1 P 1.56
O (0.0615, 0.8029, 0.7295)  1 P 1.55
O (0.5615, 0.8321, 0.2586)  1 P 1.55
O (0.0734, 0.3029, 0.2414)  1 P 1.55
O (0.9385, 0.1971, 0.2705)  1 P 1.55
O (0.3434, 0.4158, 0.7752)  1 P 1.56
O (0.3594, 0.0842, 0.4276)  1 P 1.56
O (0.4266, 0.6679, 0.2295)  1 P 1.55
O (0.3438, 0.4095, 0.5134)  1 W 1.83
O (0.1369, 0.8111, 0.4128)  1 W 1.81
O (0.5734, 0.3321, 0.7705)  1 P 1.55
O (0.8630, 0.1889, 0.5872)  1 W 1.81
O (0.6370, 0.2242, 0.3258)  1 W 1.81
O (0.1016, 0.2758, 0.9128)  1 W 1.81
O (0.8984, 0.7242, 0.0872)  1 W 1.81
O (0.8438, 0.3304, 0.9343)  1 W 1.83
O (0.1562, 0.6696, 0.0657)  1 W 1.83
O (0.3961, 0.8304, 0.9866)  1 W 1.83
O (0.4385, 0.1679, 0.7413)  1 P 1.55
Na (0.2132, 0.1430, 0.0494)  3 O 2.30-2.51
Na (0.4064, 0.8363, 0.5494)  3 O 2.30-2.51
Na (0.5936, 0.1637, 0.4506)  3 O 2.30-2.51
Na (0.2868, 0.3363, 0.9298)  3 O 2.30-2.51
Na (0.0936, 0.6430, 0.4298)  3 O 2.30-2.51
Na (0.7132, 0.6637, 0.0702)  3 O 2.30-2.51
Na (0.7868, 0.8570, 0.9506)  3 O 2.30-2.51
Na (0.9064, 0.3570, 0.5702)  3 O 2.30-2.51
W (0.0728, 0.8228, 0.2500)  4 O 1.81-1.83
W (0.5728, 0.3228, 0.2500)  4 O 1.81-1.83
W (0.9272, 0.1772, 0.7500)  4 O 1.81-1.83
W (0.4272, 0.6772, 0.7500)  4 O 1.81-1.83
Y (0.3229, 0.7500, 0.0729)  8 O 2.29-2.47
Y (0.1771, 0.2500, 0.4271)  8 O 2.29-2.47
Y (0.8229, 0.7500, 0.5729)  8 O 2.29-2.47
Y (0.6771, 0.2500, 0.9271)  8 O 2.29-2.47
P (0.4304, 0.2500, 0.6804)  4 O 1.55-1.56
P (0.0696, 0.7500, 0.8196)  4 O 1.55-1.56
P (0.9304, 0.2500, 0.1804)  4 O 1.55-1.56
P (0.5696, 0.7500, 0.3196)  4 O 1.55-1.56

=====

First-principles (PBE+U) data for a geometry-optimized NaV3Pb4O12 structure, as listed in the Materials Project database.

Results
* V: 679.53 Å³/cell
* uncorrected energy: -263.4 eV/cell

Lattice parameters (Å, degrees): 10.2883 10.2883 7.4129 90.00 90.00 120.00
Last column: nearest neighbours and their distance in Å.
Positions (direct):
O (0.9149, 0.6565, 0.0647)  1 V 1.74
O (0.9171, 0.6608, 0.4352)  1 V 1.74
O (0.8241, 0.3074, 0.7521)  1 V 1.74
O (0.3392, 0.2563, 0.4352)  1 V 1.74
O (0.2585, 0.9149, 0.5647)  1 V 1.74
O (0.1041, 0.5942, 0.7514)  1 V 1.77
O (0.8959, 0.4058, 0.2514)  1 V 1.77
O (0.6608, 0.7437, 0.9352)  1 V 1.74
O (0.2563, 0.9171, 0.9352)  1 V 1.74
O (0.4058, 0.5099, 0.7514)  1 V 1.77
O (0.3074, 0.4833, 0.2521)  1 V 1.74
O (0.1759, 0.6926, 0.2521)  1 V 1.74
O (0.7415, 0.0851, 0.0647)  1 V 1.74
O (0.6565, 0.7415, 0.5647)  1 V 1.74
O (0.5099, 0.1041, 0.2514)  1 V 1.77
O (0.0829, 0.3392, 0.9352)  1 V 1.74
O (0.0851, 0.3435, 0.5647)  1 V 1.74
O (0.4833, 0.1759, 0.7521)  1 V 1.74
O (0.6926, 0.5167, 0.7521)  1 V 1.74
O (0.3435, 0.2585, 0.0647)  1 V 1.74
O (0.7437, 0.0829, 0.4352)  1 V 1.74
O (0.4901, 0.8959, 0.7514)  1 V 1.77
O (0.5942, 0.4901, 0.2514)  1 V 1.77
O (0.5167, 0.8241, 0.2521)  1 V 1.74
V (0.6233, 0.0197, 0.2513)  4 O 1.74-1.77
V (0.6036, 0.6233, 0.7513)  4 O 1.74-1.77
V (0.3767, 0.9803, 0.7513)  4 O 1.74-1.77
V (0.9803, 0.6036, 0.2513)  4 O 1.74-1.77
V (0.3964, 0.3767, 0.2513)  4 O 1.74-1.77
V (0.0197, 0.3964, 0.7513)  4 O 1.74-1.77
Pb (0.3333, 0.6667, 0.4789)  3 O 2.44
Pb (0.7419, 0.9949, 0.7494)  3 O 2.26-2.52
Pb (0.6667, 0.3333, 0.9789)  3 O 2.44
Pb (0.2581, 0.0051, 0.2494)  3 O 2.26-2.52
Pb (0.0051, 0.7471, 0.7494)  3 O 2.26-2.52
Pb (0.9949, 0.2529, 0.2494)  3 O 2.26-2.52
Pb (0.7471, 0.7419, 0.2494)  3 O 2.26-2.52
Pb (0.2529, 0.2581, 0.7494)  3 O 2.26-2.52
Na (0.3333, 0.6667, 0.0091)  3 O 2.52
Na (0.6667, 0.3333, 0.5091)  3 O 2.52

=====

First-principles (PBE+U) data for a geometry-optimized NaSrPrWO6 structure, as listed in the Materials Project database.

Results
* V: 604.47 Å³/cell
* energy above the lowest structure with this stoichiometry: 0 meV per atom

Lattice parameters (Å, degrees): 8.4449 8.4541 8.4667 90.00 90.00 90.00
Last column: nearest neighbours and their distance in Å.
Positions (direct):
O (0.4754, 0.7023, 0.7792)  1 W 1.96
O (0.0246, 0.7977, 0.7208)  1 W 1.96
O (0.4754, 0.2977, 0.2208)  1 W 1.96
O (0.2935, 0.0256, 0.2133)  1 W 1.96
O (0.2850, 0.2086, 0.4766)  1 W 1.97
O (0.9754, 0.2023, 0.7208)  1 W 1.96
O (0.2065, 0.5256, 0.7133)  1 W 1.96
O (0.7935, 0.4744, 0.7133)  1 W 1.96
O (0.0246, 0.2023, 0.2792)  1 W 1.96
O (0.2935, 0.9744, 0.7867)  1 W 1.96
O (0.2150, 0.7086, 0.9766)  1 W 1.97
O (0.7935, 0.5256, 0.2867)  1 W 1.96
O (0.7850, 0.7086, 0.0234)  1 W 1.97
O (0.9754, 0.7977, 0.2792)  1 W 1.96
O (0.7065, 0.9744, 0.2133)  1 W 1.96
O (0.2850, 0.7914, 0.5234)  1 W 1.97
O (0.2150, 0.2914, 0.0234)  1 W 1.97
O (0.2065, 0.4744, 0.2867)  1 W 1.96
O (0.7065, 0.0256, 0.7867)  1 W 1.96
O (0.7850, 0.2914, 0.9766)  1 W 1.97
O (0.5246, 0.7023, 0.2208)  1 W 1.96
O (0.7150, 0.2086, 0.5234)  1 W 1.97
O (0.5246, 0.2977, 0.7792)  1 W 1.96
O (0.7150, 0.7914, 0.4766)  1 W 1.97
Sr (0.0000, 0.5000, 0.0000)  4 O 2.54
Sr (0.5000, 0.0000, 0.5000)  4 O 2.54
Sr (0.0000, 0.0000, 0.5000)  4 O 2.54
Sr (0.5000, 0.5000, 0.0000)  4 O 2.54
Pr (0.7500, 0.7500, 0.7500)  6 O 2.36-2.38
Pr (0.2500, 0.7500, 0.2500)  6 O 2.36-2.38
Pr (0.7500, 0.2500, 0.2500)  6 O 2.36-2.38
Pr (0.2500, 0.2500, 0.7500)  6 O 2.36-2.38
Na (0.0000, 0.5000, 0.5000)  4 O 2.52
Na (0.0000, 0.0000, 0.0000)  12 O 2.93-3.07
Na (0.5000, 0.0000, 0.0000)  4 O 2.52
Na (0.5000, 0.5000, 0.5000)  12 O 2.93-3.07
W (0.2500, 0.2500, 0.2500)  6 O 1.96-1.97
W (0.2500, 0.7500, 0.7500)  6 O 1.96-1.97
W (0.7500, 0.2500, 0.7500)  6 O 1.96-1.97
W (0.7500, 0.7500, 0.2500)  6 O 1.96-1.97

=====

First-principles (PBE+U) data for a geometry-optimized NaSrPrWO6 structure, as listed in the Materials Project database.

Results
* V: 135.79 Å³/cell
* energy above the lowest structure with this stoichiometry: 115 meV per atom

Lattice parameters (Å, degrees): 5.7694 5.7694 5.7694 60.00 60.00 60.00
Last column: nearest neighbours and their distance in Å.
Positions (direct):
O (0.2631, 0.7369, 0.2631)  1 W 1.93, 1 Na 2.15
O (0.7369, 0.7369, 0.2631)  1 W 1.93, 1 Na 2.15
O (0.2631, 0.7369, 0.7369)  1 W 1.93, 1 Na 2.15
O (0.2631, 0.2631, 0.7369)  1 W 1.93, 1 Na 2.15
O (0.7369, 0.2631, 0.2631)  1 W 1.93, 1 Na 2.15
O (0.7369, 0.2631, 0.7369)  1 W 1.93, 1 Na 2.15
Pr (0.2500, 0.2500, 0.2500)  12 O 2.89
W (0.5000, 0.5000, 0.5000)  6 O 1.93
Sr (0.7500, 0.7500, 0.7500)  12 O 2.89
Na (0.0000, 0.0000, 0.0000)  6 O 2.15

=====

Q: Which of these has the lowest V?
A: number 4

=====

Q: Which value of V does entry 3 give?
A: 604.47 Å³/cell

=====

Q: V of number 1 (Na2YPWO8)?
A: 787.10 Å³/cell